(1)
First-principles (GGA-PBE) data for a relaxed structure of CsMg14SbO16, as listed in the Materials Project.

Output
Space group: P4/mmm, No. 123
DFT formation energy: -2.54 eV/atom
Relative energy among the computed polymorphs: 0.000 eV per formula unit

Cell: 8.894 8.894 4.560 Å, 90.00 90.00 90.00°
Atoms (fractional coordinates):
Cs 0.000 0.000 0.000
Mg 0.000 0.259 0.500
Mg 0.000 0.500 0.000
Mg 0.000 0.741 0.500
Mg 0.238 0.500 0.500
Mg 0.247 0.247 0.000
Mg 0.247 0.753 0.000
Mg 0.259 0.000 0.500
Mg 0.500 0.000 0.000
Mg 0.500 0.238 0.500
Mg 0.500 0.762 0.500
Mg 0.741 0.000 0.500
Mg 0.753 0.247 0.000
Mg 0.753 0.753 0.000
Mg 0.762 0.500 0.500
Sb 0.500 0.500 0.000
O 0.000 0.000 0.500
O 0.000 0.286 0.000
O 0.000 0.500 0.500
O 0.000 0.714 0.000
O 0.245 0.500 0.000
O 0.252 0.252 0.500
O 0.252 0.748 0.500
O 0.286 0.000 0.000
O 0.500 0.000 0.500
O 0.500 0.245 0.000
O 0.500 0.500 0.500
O 0.500 0.755 0.000
O 0.714 0.000 0.000
O 0.748 0.252 0.500
O 0.748 0.748 0.500
O 0.755 0.500 0.000

(2)
First-principles (GGA-PBE) data for a relaxed structure of CsMg6SbO8, as listed in the Materials Project.

Output
Space group: P4/mmm, No. 123
DFT formation energy: -2.10 eV/atom
Relative energy among the computed polymorphs: 0.000 eV per formula unit

Cell: 4.786 4.786 9.114 Å, 90.00 90.00 90.00°
Atoms (fractional coordinates):
Cs 0.000 0.000 0.000
Mg 0.000 0.000 0.500
Mg 0.000 0.500 0.275
Mg 0.000 0.500 0.725
Mg 0.500 0.000 0.275
Mg 0.500 0.000 0.725
Mg 0.500 0.500 0.500
Sb 0.500 0.500 0.000
O 0.000 0.000 0.291
O 0.000 0.000 0.709
O 0.000 0.500 0.000
O 0.000 0.500 0.500
O 0.500 0.000 0.000
O 0.500 0.000 0.500
O 0.500 0.500 0.266
O 0.500 0.500 0.734

(3)
First-principles (GGA-PBE) data for a relaxed structure of Cs2MgSe2O14, as listed in the Materials Project.

Output
Space group: P2_1/c, No. 14
DFT formation energy: -0.65 eV/atom

Cell: 6.583 12.716 9.582 Å, 90.00 94.90 90.00°
Atoms (fractional coordinates):
Cs 0.188 0.154 0.360
Cs 0.188 0.346 0.860
Cs 0.812 0.654 0.140
Cs 0.812 0.846 0.640
Mg 0.500 0.000 0.000
Mg 0.500 0.500 0.500
Se 0.270 0.657 0.880
Se 0.270 0.843 0.380
Se 0.730 0.157 0.620
Se 0.730 0.343 0.120
O 0.105 0.739 0.396
O 0.105 0.761 0.896
O 0.181 0.587 0.740
O 0.181 0.913 0.240
O 0.233 0.603 0.490
O 0.233 0.897 0.990
O 0.280 0.583 0.023
O 0.280 0.917 0.523
O 0.333 0.117 0.903
O 0.333 0.383 0.403
O 0.486 0.135 0.113
O 0.486 0.365 0.613
O 0.494 0.204 0.647
O 0.494 0.296 0.147
O 0.506 0.704 0.853
O 0.506 0.796 0.353
O 0.514 0.635 0.387
O 0.514 0.865 0.887
O 0.667 0.617 0.597
O 0.667 0.883 0.097
O 0.720 0.083 0.477
O 0.720 0.417 0.977
O 0.767 0.103 0.010
O 0.767 0.397 0.510
O 0.819 0.087 0.760
O 0.819 0.413 0.260
O 0.895 0.239 0.104
O 0.895 0.261 0.604

(4)
First-principles (GGA-PBE) data for a relaxed structure of Cs2MgSi5O12, as listed in the Materials Project.

Output
Space group: Pbca, No. 61
DFT formation energy: -3.14 eV/atom

Cell: 13.898 13.910 13.923 Å, 90.00 90.00 90.00°
Atoms (fractional coordinates):
Cs 0.111 0.116 0.104
Cs 0.111 0.384 0.604
Cs 0.146 0.628 0.862
Cs 0.146 0.872 0.362
Cs 0.354 0.128 0.862
Cs 0.354 0.372 0.362
Cs 0.389 0.616 0.104
Cs 0.389 0.884 0.604
Cs 0.611 0.116 0.396
Cs 0.611 0.384 0.896
Cs 0.646 0.628 0.638
Cs 0.646 0.872 0.138
Cs 0.854 0.128 0.638
Cs 0.854 0.372 0.138
Cs 0.889 0.616 0.396
Cs 0.889 0.884 0.896
Mg 0.069 0.122 0.838
Mg 0.069 0.378 0.338
Mg 0.431 0.622 0.838
Mg 0.431 0.878 0.338
Mg 0.569 0.122 0.662
Mg 0.569 0.378 0.162
Mg 0.931 0.622 0.662
Mg 0.931 0.878 0.162
Si 0.100 0.626 0.167
Si 0.100 0.874 0.667
Si 0.111 0.155 0.404
Si 0.111 0.345 0.904
Si 0.138 0.088 0.618
Si 0.138 0.412 0.118
Si 0.149 0.668 0.580
Si 0.149 0.832 0.080
Si 0.181 0.591 0.372
Si 0.181 0.909 0.872
Si 0.319 0.091 0.372
Si 0.319 0.409 0.872
Si 0.351 0.168 0.580
Si 0.351 0.332 0.080
Si 0.362 0.588 0.618
Si 0.362 0.912 0.118
Si 0.389 0.655 0.404
Si 0.389 0.845 0.904
Si 0.400 0.126 0.167
Si 0.400 0.374 0.667
Si 0.600 0.626 0.333
Si 0.600 0.874 0.833
Si 0.611 0.155 0.096
Si 0.611 0.345 0.596
Si 0.638 0.088 0.882
Si 0.638 0.412 0.382
Si 0.649 0.668 0.920
Si 0.649 0.832 0.420
Si 0.681 0.591 0.128
Si 0.681 0.909 0.628
Si 0.819 0.091 0.128
Si 0.819 0.409 0.628
Si 0.851 0.168 0.920
Si 0.851 0.332 0.420
Si 0.862 0.588 0.882
Si 0.862 0.912 0.382
Si 0.889 0.655 0.096
Si 0.889 0.845 0.596
Si 0.900 0.126 0.333
Si 0.900 0.374 0.833
O 0.017 0.118 0.339
O 0.017 0.382 0.839
O 0.065 0.606 0.626
O 0.065 0.894 0.126
O 0.070 0.131 0.699
O 0.070 0.369 0.199
O 0.094 0.106 0.510
O 0.094 0.394 0.010
O 0.123 0.232 0.907
O 0.123 0.268 0.407
O 0.127 0.645 0.280
O 0.127 0.855 0.780
O 0.141 0.714 0.101
O 0.141 0.786 0.601
O 0.148 0.017 0.887
O 0.148 0.483 0.387
O 0.153 0.664 0.461
O 0.153 0.836 0.961
O 0.154 0.530 0.126
O 0.154 0.970 0.626
O 0.202 0.098 0.352
O 0.202 0.402 0.852
O 0.247 0.135 0.624
O 0.247 0.365 0.124
O 0.253 0.635 0.624
O 0.253 0.865 0.124
O 0.298 0.598 0.352
O 0.298 0.902 0.852
O 0.346 0.030 0.126
O 0.346 0.470 0.626
O 0.347 0.164 0.461
O 0.347 0.336 0.961
O 0.352 0.517 0.887
O 0.352 0.983 0.387
O 0.359 0.214 0.101
O 0.359 0.286 0.601
O 0.373 0.145 0.280
O 0.373 0.355 0.780
O 0.377 0.732 0.907
O 0.377 0.768 0.407
O 0.406 0.606 0.510
O 0.406 0.894 0.010
O 0.430 0.631 0.699
O 0.430 0.869 0.199
O 0.435 0.106 0.626
O 0.435 0.394 0.126
O 0.483 0.618 0.339
O 0.483 0.882 0.839
O 0.517 0.118 0.161
O 0.517 0.382 0.661
O 0.565 0.606 0.874
O 0.565 0.894 0.374
O 0.570 0.131 0.801
O 0.570 0.369 0.301
O 0.594 0.106 0.990
O 0.594 0.394 0.490
O 0.623 0.232 0.593
O 0.623 0.268 0.093
O 0.627 0.645 0.220
O 0.627 0.855 0.720
O 0.641 0.714 0.399
O 0.641 0.786 0.899
O 0.648 0.017 0.613
O 0.648 0.483 0.113
O 0.653 0.664 0.039
O 0.653 0.836 0.539
O 0.654 0.530 0.374
O 0.654 0.970 0.874
O 0.702 0.098 0.148
O 0.702 0.402 0.648
O 0.747 0.135 0.876
O 0.747 0.365 0.376
O 0.753 0.635 0.876
O 0.753 0.865 0.376
O 0.798 0.598 0.148
O 0.798 0.902 0.648
O 0.846 0.030 0.374
O 0.846 0.470 0.874
O 0.847 0.164 0.039
O 0.847 0.336 0.539
O 0.852 0.517 0.613
O 0.852 0.983 0.113
O 0.859 0.214 0.399
O 0.859 0.286 0.899
O 0.873 0.145 0.220
O 0.873 0.355 0.720
O 0.877 0.732 0.593
O 0.877 0.768 0.093
O 0.906 0.606 0.990
O 0.906 0.894 0.490
O 0.930 0.631 0.801
O 0.930 0.869 0.301
O 0.935 0.106 0.874
O 0.935 0.394 0.374
O 0.983 0.618 0.161
O 0.983 0.882 0.661

(5)
First-principles (GGA-PBE) data for a relaxed structure of CsMg30SiO32, as listed in the Materials Project.

Output
Space group: P4/mmm, No. 123
DFT formation energy: -2.85 eV/atom

Cell: 8.672 8.672 8.702 Å, 90.00 90.00 90.00°
Atoms (fractional coordinates):
Cs 0.000 0.000 0.000
Mg 0.000 0.000 0.500
Mg 0.000 0.253 0.256
Mg 0.000 0.253 0.744
Mg 0.000 0.500 0.000
Mg 0.000 0.500 0.500
Mg 0.000 0.747 0.256
Mg 0.000 0.747 0.744
Mg 0.249 0.249 0.500
Mg 0.249 0.500 0.253
Mg 0.249 0.500 0.747
Mg 0.249 0.751 0.500
Mg 0.252 0.252 0.000
Mg 0.252 0.748 0.000
Mg 0.253 0.000 0.256
Mg 0.253 0.000 0.744
Mg 0.500 0.000 0.000
Mg 0.500 0.000 0.500
Mg 0.500 0.249 0.253
Mg 0.500 0.249 0.747
Mg 0.500 0.500 0.500
Mg 0.500 0.751 0.253
Mg 0.500 0.751 0.747
Mg 0.747 0.000 0.256
Mg 0.747 0.000 0.744
Mg 0.748 0.252 0.000
Mg 0.748 0.748 0.000
Mg 0.751 0.249 0.500
Mg 0.751 0.500 0.253
Mg 0.751 0.500 0.747
Mg 0.751 0.751 0.500
Si 0.500 0.500 0.000
O 0.000 0.000 0.285
O 0.000 0.000 0.715
O 0.000 0.258 0.500
O 0.000 0.287 0.000
O 0.000 0.500 0.255
O 0.000 0.500 0.745
O 0.000 0.713 0.000
O 0.000 0.742 0.500
O 0.251 0.251 0.249
O 0.251 0.251 0.751
O 0.251 0.749 0.249
O 0.251 0.749 0.751
O 0.256 0.500 0.500
O 0.258 0.000 0.500
O 0.286 0.500 0.000
O 0.287 0.000 0.000
O 0.500 0.000 0.255
O 0.500 0.000 0.745
O 0.500 0.256 0.500
O 0.500 0.286 0.000
O 0.500 0.500 0.227
O 0.500 0.500 0.773
O 0.500 0.714 0.000
O 0.500 0.744 0.500
O 0.713 0.000 0.000
O 0.714 0.500 0.000
O 0.742 0.000 0.500
O 0.744 0.500 0.500
O 0.749 0.251 0.249
O 0.749 0.251 0.751
O 0.749 0.749 0.249
O 0.749 0.749 0.751

(6)
First-principles (GGA-PBE) data for a relaxed structure of Cs8MgSn8O12, as listed in the Materials Project.

Output
Space group: Pm, No. 6
DFT formation energy: -1.61 eV/atom
Relative energy among the computed polymorphs: 0.144 eV per formula unit

Cell: 9.118 6.210 16.234 Å, 90.00 95.85 90.00°
Atoms (fractional coordinates):
Cs 0.000 0.000 0.000
Cs 0.031 0.500 0.526
Cs 0.157 0.000 0.762
Cs 0.190 0.500 0.308
Cs 0.452 0.500 0.726
Cs 0.501 0.000 0.316
Cs 0.695 0.500 0.969
Cs 0.745 0.000 0.551
Mg 0.363 0.500 0.101
Sn 0.237 0.500 0.907
Sn 0.289 0.000 0.527
Sn 0.444 0.000 0.964
Sn 0.490 0.500 0.475
Sn 0.721 0.000 0.820
Sn 0.749 0.500 0.318
Sn 0.905 0.500 0.768
Sn 0.964 0.000 0.373
O 0.062 0.000 0.497
O 0.134 0.500 0.786
O 0.335 0.252 0.450
O 0.335 0.748 0.450
O 0.381 0.253 0.882
O 0.381 0.747 0.882
O 0.535 0.500 0.352
O 0.665 0.000 0.942
O 0.821 0.248 0.399
O 0.821 0.752 0.399
O 0.875 0.248 0.849
O 0.875 0.752 0.849

(7)
First-principles (GGA-PBE) data for a relaxed structure of Cs8MgSn8O12, as listed in the Materials Project.

Output
Space group: P1, No. 1
DFT formation energy: -1.61 eV/atom
Relative energy among the computed polymorphs: 0.000 eV per formula unit

Cell: 6.257 9.511 14.402 Å, 86.24 87.22 88.26°
Atoms (fractional coordinates):
Cs 0.000 0.000 0.000
Cs 0.005 0.596 0.210
Cs 0.036 0.215 0.731
Cs 0.209 0.836 0.538
Cs 0.510 0.691 0.966
Cs 0.518 0.134 0.453
Cs 0.528 0.290 0.179
Cs 0.560 0.520 0.692
Mg 0.754 0.759 0.436
Sn 0.013 0.446 0.952
Sn 0.025 0.036 0.289
Sn 0.029 0.770 0.803
Sn 0.469 0.525 0.377
Sn 0.520 0.266 0.899
Sn 0.521 0.856 0.228
Sn 0.531 0.967 0.749
Sn 0.991 0.343 0.433
O 0.013 0.665 0.936
O 0.242 0.384 0.334
O 0.265 0.910 0.838
O 0.273 0.409 0.860
O 0.293 0.914 0.328
O 0.498 0.637 0.246
O 0.534 0.183 0.769
O 0.732 0.389 0.347
O 0.769 0.408 0.863
O 0.771 0.906 0.839
O 0.782 0.876 0.318
O 0.998 0.122 0.418

(8)
First-principles (GGA-PBE) data for a relaxed structure of Cs8MgSn8O12, as listed in the Materials Project.

Output
Space group: P-1, No. 2
DFT formation energy: -1.61 eV/atom
Relative energy among the computed polymorphs: 0.101 eV per formula unit

Cell: 6.239 9.015 16.074 Å, 95.23 101.18 90.44°
Atoms (fractional coordinates):
Cs 0.003 0.008 0.164
Cs 0.122 0.846 0.405
Cs 0.392 0.452 0.627
Cs 0.494 0.692 0.868
Cs 0.506 0.308 0.132
Cs 0.608 0.548 0.373
Cs 0.878 0.154 0.595
Cs 0.997 0.992 0.836
Mg 0.000 0.500 0.000
Sn 0.029 0.566 0.221
Sn 0.107 0.295 0.373
Sn 0.423 0.914 0.683
Sn 0.498 0.762 0.162
Sn 0.502 0.238 0.838
Sn 0.577 0.086 0.317
Sn 0.893 0.705 0.627
Sn 0.971 0.434 0.779
O 0.097 0.518 0.349
O 0.188 0.767 0.710
O 0.208 0.279 0.756
O 0.284 0.726 0.244
O 0.317 0.232 0.290
O 0.486 0.008 0.810
O 0.514 0.992 0.190
O 0.683 0.768 0.710
O 0.716 0.274 0.756
O 0.792 0.721 0.244
O 0.812 0.233 0.290
O 0.903 0.482 0.651